Record 1
Material: Sr2DyNbO6
Method: DFT, PBE
State: optimized geometry

Structure (extended XYZ):
```
10
Lattice="0.0000 -4.2230 -4.2230 4.2230 0.0000 -4.2230 4.2230 -4.2230 0.0000" Properties=species:S:1:pos:R:3 pbc="T T T"
Nb 4.2230 -4.2230 -4.2230
Sr 2.1115 -2.1115 -2.1115
Sr 6.3345 -6.3345 -6.3345
O 4.2230 -4.2230 -6.2306
Dy 0.0000 0.0000 0.0000
O 4.2230 -6.2306 -4.2230
O 2.2154 -4.2230 -4.2230
O 6.2306 -4.2230 -4.2230
O 4.2230 -4.2230 -2.2154
O 4.2230 -2.2154 -4.2230
```

Results
Calculated total energy = -7.7744 eV per atom
Symmetry = Fm-3m, No. 225



Record 2
Material: Sr2DyNbO6
Method: DFT, PBE
State: optimized geometry

Structure (extended XYZ):
```
40
Lattice="-1.3011 0.9140 -8.2271 -7.1714 -4.2838 0.6582 -4.1342 7.1433 1.4475" Properties=species:S:1:pos:R:3 pbc="T T T"
Dy -5.2188 4.5150 -0.8066
O -6.6519 -2.6297 -5.3638
Sr 0.0000 0.0000 0.0000
Sr -0.6506 0.4570 -4.1135
O -5.1652 4.6124 -3.0535
O -10.3144 1.0921 -0.0434
O -9.1814 2.1675 -2.4587
O -1.5388 2.1521 -1.3135
Nb -7.3879 -0.7415 -5.3148
O -7.2945 3.6542 -0.9117
O -1.9327 -0.5465 -2.1658
Nb -3.1517 0.9434 -1.5304
Dy -9.4550 2.8302 -4.5911
O -7.6478 4.1550 -4.3920
Nb -5.8693 4.9721 -4.9202
O -8.4275 2.5787 1.5037
O -10.1080 3.9224 -0.3764
Nb -8.8045 2.3731 -0.4775
Sr -3.5857 -2.1419 0.3291
O -8.1240 1.1467 -5.2658
O -5.5065 0.0033 -5.1919
O -4.0908 5.7892 -5.4483
O -9.2694 -1.4863 -5.4377
Sr -6.3033 1.8868 -3.0607
Sr -2.0671 3.5717 0.7237
Sr -4.2363 -1.6849 -3.7844
Dy -3.8022 1.4004 -5.6439
O -4.7646 -0.2653 -1.7472
Dy -6.7374 -1.1985 -1.2012
Sr -2.7176 4.0287 -3.3898
O -6.5209 6.8009 -4.3368
O -7.4767 -0.8141 -3.2908
O -2.9133 0.3055 0.3791
O -7.2991 -0.6689 -7.3387
Sr -5.6528 1.4297 1.0528
O -6.5734 5.3317 -6.7868
O -5.2178 3.1432 -5.5036
O -7.5009 0.8239 -0.5786
O -4.3707 2.4333 -0.8949
O -3.3900 1.5813 -3.4398
```

Results
Calculated total energy = -7.8205 eV per atom
Symmetry = Pn-3, No. 201



Asked for energy of formation from the pure elements across the records above, the calculation gives -3.41, -3.46 eV per atom in order.
Asked for calculated volume across the records above, the calculation gives 15.1, 14.7 A^3/atom in order.